Material: Gd4CoB13
Method: DFT, PBE-GGA
State: relaxed Values from VASP.

The structure in Quantum ESPRESSO input format:
```
&SYSTEM
  ibrav = 0, nat = 36, ntyp = 3
/
ATOMIC_SPECIES
B 10.81 B.upf
Co 58.93 Co.upf
Gd 157.25 Gd.upf
CELL_PARAMETERS angstrom
-7.207 -1.049 -1.183
1.247 -7.164 -1.248
-0.921 -1.346 6.806
ATOMIC_POSITIONS angstrom
B -3.747 -6.375 3.662
B -0.150 -4.668 0.856
B -7.400 -3.223 3.727
B -3.603 -3.869 4.177
B -2.407 -5.225 4.070
B -4.943 -5.018 3.768
B -0.461 -0.673 3.403
B -6.730 -4.891 3.519
B -5.024 -8.097 -0.450
B -0.611 -5.341 4.259
B -3.523 -2.092 4.507
B -4.474 -4.333 0.305
B 0.067 -6.997 3.991
B -3.062 -1.419 1.104
B -6.270 -4.218 0.116
B 0.519 -6.336 0.649
B -6.947 -2.562 0.384
B -1.404 -0.801 1.482
B -3.818 -8.140 3.271
B -3.358 -7.467 -0.132
B -3.278 -5.690 0.199
B -5.476 -8.757 2.893
B -1.938 -4.541 0.607
B -1.857 -1.462 4.825
B -2.980 -4.106 -1.215
B -3.134 -3.184 0.714
Co 0.000 0.000 0.000
Co -3.440 -4.779 2.188
Gd -1.712 -6.865 2.009
Gd -1.276 -6.174 -1.393
Gd -5.168 -2.694 2.366
Gd -1.378 -3.122 2.794
Gd -5.025 -5.740 -1.815
Gd -0.934 -2.473 -0.615
Gd -5.503 -6.436 1.581
Gd -4.683 -2.038 -1.037
```

Summary:
energy of formation: -745 kJ/mol of formula units


Material: GdCoNi3B
Method: DFT, PBE-GGA
State: relaxed Values from VASP.

The structure in Quantum ESPRESSO input format:
```
&SYSTEM
  ibrav = 0, nat = 12, ntyp = 4
/
ATOMIC_SPECIES
Gd 157.25 Gd.upf
B 10.81 B.upf
Ni 58.69 Ni.upf
Co 58.93 Co.upf
CELL_PARAMETERS angstrom
5.001 0.000 0.000
-2.501 4.331 0.000
0.000 0.000 6.939
ATOMIC_POSITIONS angstrom
Gd 0.000 0.000 3.469
Gd 0.000 0.000 0.000
B 2.501 1.444 3.469
B 0.000 2.887 3.469
Ni -1.250 2.166 4.907
Ni 1.250 2.166 4.907
Ni 1.250 2.166 2.032
Ni 2.501 0.000 4.907
Ni -1.250 2.166 2.032
Ni 2.501 0.000 2.032
Co 2.501 1.444 0.000
Co 0.000 2.887 0.000
```

Summary:
energy of formation: 278 kJ/mol of formula units


Material: GdCo2Ni2B
Method: DFT, PBE-GGA
State: relaxed Values from VASP.

The structure in Quantum ESPRESSO input format:
```
&SYSTEM
  ibrav = 0, nat = 12, ntyp = 4
/
ATOMIC_SPECIES
Ni 58.69 Ni.upf
Co 58.93 Co.upf
B 10.81 B.upf
Gd 157.25 Gd.upf
CELL_PARAMETERS angstrom
2.510 -4.359 0.000
2.510 4.359 0.000
0.000 0.000 6.842
ATOMIC_POSITIONS angstrom
Ni 2.510 -1.432 0.009
Ni 1.255 -2.180 4.853
Ni 2.510 1.432 0.009
Ni 1.255 2.180 4.853
Co 2.510 0.000 2.004
Co 2.510 0.000 4.835
Co 1.255 2.180 1.988
Co 1.255 -2.180 1.988
B 2.510 1.444 3.408
B 2.510 -1.444 3.408
Gd 0.000 0.000 0.018
Gd 0.000 0.000 3.414
```

Summary:
energy of formation: -211 kJ/mol of formula units


Material: Gd3Co29Si4B10
Method: DFT, PBE-GGA
State: relaxed Values from VASP.

The structure in Quantum ESPRESSO input format:
```
&SYSTEM
  ibrav = 0, nat = 92, ntyp = 4
/
ATOMIC_SPECIES
Co 58.93 Co.upf
Si 28.09 Si.upf
B 10.81 B.upf
Gd 157.25 Gd.upf
CELL_PARAMETERS angstrom
7.817 0.000 0.000
0.000 11.152 0.000
0.000 0.000 11.152
ATOMIC_POSITIONS angstrom
Co 2.627 10.163 0.842
Co 3.696 2.788 0.252
Co 5.865 7.090 7.090
Co 7.581 0.949 2.788
Co 3.696 5.324 2.788
Co 0.873 1.561 8.364
Co 0.236 6.525 8.364
Co 5.190 10.310 0.989
Co 5.452 1.562 4.014
Co 7.581 2.788 4.627
Co 4.121 5.828 8.364
Co 5.190 6.418 0.989
Co 6.943 2.788 9.591
Co 7.581 4.627 2.788
Co 5.452 4.014 4.014
Co 2.627 4.734 6.565
Co 2.365 9.590 7.138
Co 5.452 4.014 1.562
Co 0.873 4.015 8.364
Co 2.365 7.138 9.590
Co 6.943 2.788 7.137
Co 2.627 6.565 4.734
Co 5.190 4.587 10.310
Co 4.121 10.901 8.364
Co 5.865 9.638 7.090
Co 4.121 8.364 5.828
Co 1.952 1.514 1.514
Co 5.190 6.418 4.587
Co 5.865 7.090 9.638
Co 1.952 1.514 4.062
Co 0.236 10.203 8.364
Co 5.190 10.310 4.587
Co 3.656 2.788 2.788
Co 5.190 4.587 6.418
Co 0.873 8.364 1.561
Co 1.952 4.062 4.062
Co 2.627 6.565 0.842
Co 6.943 9.591 2.788
Co 3.696 2.788 5.324
Co 0.236 8.364 6.525
Co 5.190 0.989 6.418
Co 4.121 8.364 10.901
Co 1.952 4.062 1.514
Co 5.865 9.638 9.638
Co 5.190 0.989 10.310
Co 6.943 7.137 2.788
Co 2.627 0.842 6.565
Co 2.365 9.590 9.590
Co 5.452 1.562 1.562
Co 7.581 2.788 0.949
Co 4.160 8.364 8.364
Co 3.696 0.252 2.788
Co 2.627 10.163 4.734
Co 2.627 0.842 10.163
Co 2.365 7.138 7.138
Co 0.236 8.364 10.203
Co 2.627 4.734 10.163
Co 0.873 8.364 4.015
Si 6.449 8.364 4.811
Si 6.449 0.765 8.364
Si 1.367 2.788 10.387
Si 1.367 10.387 2.788
Si 1.367 2.788 6.341
Si 1.367 6.341 2.788
Si 6.449 8.364 0.765
Si 6.449 4.811 8.364
B 6.634 2.788 2.788
B 0.790 2.788 2.788
B 2.060 0.064 8.364
B 5.757 2.788 5.640
B 2.060 8.364 0.064
B 4.055 10.442 6.286
B 4.055 6.286 6.286
B 1.183 8.364 8.364
B 2.060 8.364 5.512
B 7.027 8.364 8.364
B 3.762 0.710 4.866
B 5.757 11.088 2.788
B 3.762 4.866 0.710
B 2.060 5.512 8.364
B 3.762 4.866 4.866
B 3.762 0.710 0.710
B 5.757 2.788 11.088
B 4.055 6.286 10.442
B 5.757 5.640 2.788
B 4.055 10.442 10.442
Gd 3.908 2.788 8.364
Gd 0.000 0.000 0.000
Gd 3.908 8.364 2.788
Gd 0.000 0.000 5.576
Gd 0.000 5.576 0.000
Gd 0.000 5.576 5.576
```

Summary:
energy of formation: -1839 kJ/mol of formula units


Material: GdYCo4B4
Method: DFT, PBE-GGA
State: relaxed Values from VASP.

The structure in Quantum ESPRESSO input format:
```
&SYSTEM
  ibrav = 0, nat = 10, ntyp = 4
/
ATOMIC_SPECIES
Gd 157.25 Gd.upf
B 10.81 B.upf
Co 58.93 Co.upf
Y 88.91 Y.upf
CELL_PARAMETERS angstrom
3.554 0.000 0.000
0.000 3.554 0.000
0.000 0.000 9.504
ATOMIC_POSITIONS angstrom
Gd 0.000 0.000 0.000
B 0.000 0.000 6.177
B 1.777 1.777 8.038
B 0.000 0.000 3.326
B 1.777 1.777 1.466
Co 1.777 0.000 2.395
Co 0.000 1.777 7.109
Co 0.000 1.777 2.395
Co 1.777 0.000 7.109
Y 1.777 1.777 4.752
```

Summary:
energy of formation: -530 kJ/mol of formula units


Material: Co21Ge2B6
Method: DFT, PBE-GGA
State: relaxed Values from VASP.

The structure in Quantum ESPRESSO input format:
```
&SYSTEM
  ibrav = 0, nat = 29, ntyp = 3
/
ATOMIC_SPECIES
Co 58.93 Co.upf
Ge 72.64 Ge.upf
B 10.81 B.upf
CELL_PARAMETERS angstrom
0.000 5.227 5.227
5.227 0.000 5.227
5.227 5.227 0.000
ATOMIC_POSITIONS angstrom
Co 3.473 5.227 1.754
Co 3.473 3.473 0.000
Co 0.000 1.754 1.754
Co 3.979 6.475 6.475
Co 3.473 0.000 3.473
Co 5.227 3.473 1.754
Co 0.000 0.000 0.000
Co 6.475 3.979 3.979
Co 1.754 0.000 1.754
Co 1.754 1.754 0.000
Co 3.979 3.979 6.475
Co 6.475 3.979 6.475
Co 3.979 3.979 3.979
Co 5.227 1.754 3.473
Co 0.000 3.473 3.473
Co 1.754 3.473 5.227
Co 1.754 5.227 3.473
Co 3.473 1.754 5.227
Co 3.979 6.475 3.979
Co 6.475 6.475 3.979
Co 6.475 6.475 6.475
Ge 7.841 7.841 7.841
Ge 2.614 2.614 2.614
B 7.564 5.227 5.227
B 5.227 2.890 5.227
B 5.227 5.227 2.890
B 5.227 5.227 7.564
B 5.227 7.564 5.227
B 2.890 5.227 5.227
```

Summary:
energy of formation: -575 kJ/mol of formula units


Material: HfCo3B2
Method: DFT, PBE-GGA
State: relaxed Values from VASP.

The structure in Quantum ESPRESSO input format:
```
&SYSTEM
  ibrav = 0, nat = 6, ntyp = 3
/
ATOMIC_SPECIES
Co 58.93 Co.upf
Hf 178.49 Hf.upf
B 10.81 B.upf
CELL_PARAMETERS angstrom
0.284 -2.809 -1.165
4.567 0.966 -1.215
-0.997 -1.893 4.323
ATOMIC_POSITIONS angstrom
Co 2.425 -0.922 -1.190
Co -0.356 -2.351 1.579
Co 1.927 -1.868 0.972
Hf 0.000 0.000 0.000
B 0.858 -0.940 2.477
B 2.712 0.013 0.631
```

Summary:
energy of formation: -336 kJ/mol of formula units
energy above the most stable polymorph in this dataset: 17.7 meV/atom


Material: Hf2Co21B6
Method: DFT, PBE-GGA
State: relaxed Values from VASP.

The structure in Quantum ESPRESSO input format:
```
&SYSTEM
  ibrav = 0, nat = 29, ntyp = 3
/
ATOMIC_SPECIES
Co 58.93 Co.upf
B 10.81 B.upf
Hf 178.49 Hf.upf
CELL_PARAMETERS angstrom
0.000 5.281 5.281
5.281 0.000 5.281
5.281 5.281 0.000
ATOMIC_POSITIONS angstrom
Co 3.499 0.000 3.499
Co 6.492 6.492 6.492
Co 5.281 1.782 3.499
Co 6.492 6.492 4.069
Co 3.499 3.499 0.000
Co 6.492 4.069 6.492
Co 4.069 4.069 6.492
Co 1.782 1.782 0.000
Co 5.281 3.499 1.782
Co 0.000 0.000 0.000
Co 4.069 6.492 4.069
Co 1.782 0.000 1.782
Co 3.499 1.782 5.281
Co 4.069 6.492 6.492
Co 4.069 4.069 4.069
Co 3.499 5.281 1.782
Co 6.492 4.069 4.069
Co 0.000 3.499 3.499
Co 0.000 1.782 1.782
Co 1.782 3.499 5.281
Co 1.782 5.281 3.499
B 5.281 7.660 5.281
B 2.902 5.281 5.281
B 5.281 2.902 5.281
B 5.281 5.281 7.660
B 7.660 5.281 5.281
B 5.281 5.281 2.902
Hf 7.921 7.921 7.921
Hf 2.640 2.640 2.640
```

Summary:
energy of formation: -831 kJ/mol of formula units


Material: HfCo3B2
Method: DFT, PBE-GGA
State: relaxed Values from VASP.

The structure in Quantum ESPRESSO input format:
```
&SYSTEM
  ibrav = 0, nat = 18, ntyp = 3
/
ATOMIC_SPECIES
B 10.81 B.upf
Co 58.93 Co.upf
Hf 178.49 Hf.upf
CELL_PARAMETERS angstrom
3.868 -4.187 0.000
3.868 4.187 0.000
-0.662 0.000 5.662
ATOMIC_POSITIONS angstrom
B 2.156 -2.604 2.140
B 1.050 1.582 3.522
B 2.156 2.604 2.140
B 3.868 1.022 0.000
B 3.868 -1.022 0.000
B 1.050 -1.582 3.522
Co 4.086 2.084 1.729
Co -0.331 0.000 2.831
Co 2.988 2.084 3.933
Co 4.086 -2.084 1.729
Co 1.934 2.093 0.000
Co 2.988 -2.084 3.933
Co 1.934 -2.093 0.000
Co 1.831 0.000 4.547
Co 5.244 0.000 1.114
Hf 0.000 0.000 0.000
Hf 2.331 0.000 1.866
Hf 4.743 0.000 3.796
```

Summary:
energy of formation: -346 kJ/mol of formula units
energy above the most stable polymorph in this dataset: 0.0 meV/atom


Material: HoCo4B4
Method: DFT, PBE-GGA
State: relaxed Values from VASP.

The structure in Quantum ESPRESSO input format:
```
&SYSTEM
  ibrav = 0, nat = 18, ntyp = 3
/
ATOMIC_SPECIES
B 10.81 B.upf
Co 58.93 Co.upf
Ho 164.93 Ho.upf
CELL_PARAMETERS angstrom
-3.429 -3.635 -0.231
1.991 -1.605 -4.300
4.252 -4.237 3.550
ATOMIC_POSITIONS angstrom
B 2.435 -7.497 0.576
B 2.756 -3.184 1.009
B 1.559 -4.453 0.929
B 0.058 -6.293 -1.990
B 0.379 -1.980 -1.556
B 3.129 -8.057 -0.925
B -0.316 -1.420 -0.056
B 1.254 -5.024 -1.909
Co 2.772 -4.148 -2.966
Co 2.542 -5.992 1.959
Co 1.793 -3.358 -0.850
Co 0.854 -7.782 1.845
Co 0.041 -5.329 1.985
Co 0.271 -3.485 -2.939
Co 1.021 -6.119 -0.131
Co 1.959 -1.696 -2.825
Ho -1.011 -4.187 -0.361
Ho 3.825 -5.290 -0.620
```

Summary:
energy of formation: -444 kJ/mol of formula units


Material: HoCo2B2
Method: DFT, PBE-GGA
State: relaxed Values from VASP.

The structure in Quantum ESPRESSO input format:
```
&SYSTEM
  ibrav = 0, nat = 5, ntyp = 3
/
ATOMIC_SPECIES
Ho 164.93 Ho.upf
B 10.81 B.upf
Co 58.93 Co.upf
CELL_PARAMETERS angstrom
-1.772 1.772 4.658
1.772 -1.772 4.658
1.772 1.772 -4.658
ATOMIC_POSITIONS angstrom
Ho 0.000 0.000 0.000
B 0.000 0.000 3.269
B 0.000 0.000 6.046
Co 1.772 0.000 2.329
Co 0.000 1.772 2.329
```

Summary:
energy of formation: -276 kJ/mol of formula units


Material: Ho4Co3B6
Method: DFT, PBE-GGA
State: relaxed Values from VASP.

The structure in Quantum ESPRESSO input format:
```
&SYSTEM
  ibrav = 0, nat = 13, ntyp = 3
/
ATOMIC_SPECIES
B 10.81 B.upf
Ho 164.93 Ho.upf
Co 58.93 Co.upf
CELL_PARAMETERS angstrom
-2.643 -4.577 0.000
2.643 -4.577 0.000
0.000 -3.051 7.269
ATOMIC_POSITIONS angstrom
B 1.754 -6.103 3.635
B 0.877 -4.584 3.635
B -0.877 -7.621 3.635
B 0.877 -7.621 3.635
B -1.754 -6.103 3.635
B -0.877 -4.584 3.635
Ho 0.000 -9.154 5.560
Ho 0.000 -6.103 5.563
Ho 0.000 -3.051 1.709
Ho 0.000 -6.103 1.706
Co 0.000 -3.051 4.814
Co 0.000 -9.154 2.456
Co 0.000 0.000 0.000
```

Summary:
energy of formation: -454 kJ/mol of formula units